## TiCrAgS4 (GGA-PBE)

Data for a relaxed structure of TiCrAgS4.

a = 5.969 Å, b = 9.502 Å, c = 11.529 Å
α = 90.00°, β = 90.00°, γ = 90.00°
Atoms (fractional coordinates):
Ag 0.180 0.250 0.363
S 0.759 0.921 0.166
S 0.259 0.579 0.334
S 0.741 0.421 0.666
Cr 0.998 0.750 0.268
Ti 0.868 0.750 0.035
S 0.740 0.750 0.423
Ag 0.320 0.750 0.863
Ti 0.632 0.250 0.535
S 0.252 0.250 0.147
Cr 0.502 0.250 0.768
Cr 0.498 0.750 0.232
S 0.248 0.750 0.647
Ag 0.820 0.750 0.637
S 0.241 0.079 0.834
S 0.760 0.250 0.923
Cr 0.002 0.250 0.732
S 0.260 0.250 0.577
S 0.240 0.750 0.077
Ag 0.680 0.250 0.137
S 0.759 0.579 0.166
S 0.741 0.079 0.666
S 0.241 0.421 0.834
S 0.748 0.750 0.853
Ti 0.132 0.250 0.965
Ti 0.368 0.750 0.465
S 0.752 0.250 0.353
S 0.259 0.921 0.334

Results
The total energy is -5.9242 eV per atom. As for the space group: Pnma (62). As for the offset from the most stable computed form: 0.170 eV per atom. Its total moment is 11.998 μB/cell.